Computed, not measured: crystalline BN at its relaxed geometry at the PBE level of DFT.

Results
The value obtained for the total energy after the MP2020 corrections is -8.16 eV/atom. The value obtained for the magnetization is 0.0000 μB per atom. As for the formation energy: -0.6558 eV/atom. The calculated total energy is -0.293 hartree per atom. As for the energy above the most stable polymorph in this dataset: 806 meV per atom.

Unit cell a=3.625 b=3.625 c=3.625 alpha=97.50 beta=97.50 gamma=137.64
Fractional positions:
B1 0.000 0.000 0.000
N1 0.500 0.500 0.000